# 1
FeH7C3NO6, optimized geometry, DFT GGA+U; DFT formation energy = -1.0775 eV per atom; theoretical density = 1.72 g/cm³; offset from the most stable computed form = 10 meV/atom; DFT total energy = -221.9 eV/cell; V = 402.74 Å³ per cell
1.0
6.4920 -3.6547 0.0000
6.4920 3.6547 0.0000
-0.0370 0.0000 8.4872
Fe H C N O
2 14 6 2 12
Cartesian
2.1613 0.0000 2.1182
10.7856 0.0000 6.3690
6.4920 3.0400 0.0000
3.7790 1.5050 4.2207
6.0476 0.8884 6.0942
6.8993 0.8884 2.3930
5.5049 0.0749 1.8663
9.1679 1.5050 4.2665
3.7785 -1.5485 8.4731
5.9319 -0.4630 7.1529
7.4420 0.0749 6.6209
6.3210 -0.6976 5.5866
7.0150 -0.4630 1.3342
6.6259 -0.6976 2.9005
6.4735 -3.0466 4.2436
9.1684 -1.5485 0.0141
3.6572 1.5952 0.0283
6.4735 3.1570 4.2436
9.2897 1.5952 8.4589
3.6450 -1.6165 4.2376
6.4920 -3.1627 0.0000
9.3019 -1.6165 4.2495
6.4406 -0.0359 6.3654
6.5063 -0.0359 2.1218
4.4776 1.9375 7.6477
5.7954 2.5752 5.1503
7.1515 2.5752 3.3369
3.8399 0.6974 0.9168
8.4693 1.9375 0.8395
3.7985 -0.7083 3.3700
9.1070 0.6974 7.5704
4.5376 -1.9591 5.0833
5.7262 -2.5690 7.6313
9.1484 -0.7083 5.1172
7.2207 -2.5690 0.8558
8.4093 -1.9591 3.4039

---

# 2
FeH6C2N2O4, optimized geometry, DFT GGA+U; DFT formation energy = -0.9649 eV per atom; theoretical density = 1.66 g/cm³; DFT total energy = -186.4 eV/cell; V = 356.08 Å³ per cell
1.0
7.1804 -3.3779 0.0000
7.1804 3.3779 0.0000
-5.8172 0.0000 7.3405
Fe H C N O
2 12 4 4 8
Cartesian
2.8175 1.7779 5.5054
5.7261 -1.7779 1.8351
0.3647 0.7685 4.7770
4.3800 0.2124 0.4333
3.9662 0.4051 2.0057
1.4714 -0.2124 4.1036
3.2733 -0.7685 1.1068
1.0576 -0.4051 5.6759
7.4860 0.4051 1.6646
5.2702 0.7685 6.2337
7.0721 0.2124 3.2369
4.5774 -0.4051 5.3348
4.1635 -0.2124 6.9072
8.1788 -0.7685 2.5634
3.9394 2.9857 3.0880
7.5127 2.9857 0.5822
1.0308 -2.9857 6.7583
4.6041 -2.9857 4.2525
1.2592 0.3045 4.9627
4.1678 -0.3045 1.2924
4.3757 0.3045 6.0481
7.2843 -0.3045 2.3778
-2.8367 0.0196 5.4281
0.0719 -0.0196 1.7578
3.1777 2.0145 3.4180
8.2745 2.0145 0.2522
0.2691 -2.0145 7.0883
5.3658 -2.0145 3.9225
8.4716 0.0196 5.5827
11.3803 -0.0196 1.9124

---

# 3
FeH7C3NO6, optimized geometry, DFT GGA+U; DFT formation energy = -1.0874 eV per atom; theoretical density = 1.73 g/cm³; offset from the most stable computed form = 0 meV/atom; DFT total energy = -666.7 eV/cell; V = 1203.66 Å³ per cell
1.0
12.8315 0.0000 0.0000
-6.4158 11.1124 0.0000
0.0000 0.0000 8.4414
Fe H C N O
6 42 18 6 36
Cartesian
-2.0934 3.7289 0.0000
-2.1397 11.0609 0.0000
2.1826 3.6774 4.2207
4.2331 7.4350 0.0000
8.5555 0.0515 4.2207
8.5092 7.3835 4.2207
0.0000 0.0000 3.6087
0.0000 0.0000 7.8294
-0.2072 0.9727 0.7458
-2.5948 5.6400 6.0464
-5.4698 10.8056 0.7458
0.7388 0.6658 4.9665
-0.1020 3.1073 6.1871
-3.6738 9.6471 6.1871
-0.2863 4.2547 2.4913
-2.5880 9.2330 2.4913
-0.9509 7.1216 3.5002
-0.2186 6.4398 7.7294
2.6400 1.6420 1.9664
-0.7295 8.0818 7.7294
0.0000 7.4083 0.6469
0.0000 7.4083 4.8605
0.7237 6.7281 3.5002
3.5416 2.3753 6.7120
0.2272 8.3751 3.5002
0.9480 7.7033 7.7294
-0.2340 10.5396 6.0464
2.8288 6.0453 6.0464
3.5870 5.0671 1.8257
6.6498 0.5729 1.8257
5.4677 3.4092 3.5087
6.1886 2.7373 7.7209
2.8742 8.7372 2.4913
5.6921 4.3843 7.7209
6.4158 3.7041 0.6398
6.4158 3.7041 4.8676
7.1452 3.0306 3.5087
3.7758 9.4705 6.1871
6.6344 4.6727 3.5087
7.3667 3.9908 7.7209
9.0037 1.8794 6.7120
6.7020 6.8577 6.7120
10.0896 1.4653 1.9664
6.5178 8.0051 1.9664
5.6770 10.4466 0.7458
11.8855 0.3069 4.9665
9.0105 5.4724 1.8257
6.6230 10.1397 4.9665
-2.8116 5.8891 1.9936
-0.0797 3.1905 2.2714
-3.6128 9.5862 2.2714
0.0047 4.2019 6.2695
-2.7792 9.0074 6.2695
2.7232 1.6643 6.4921
3.6413 2.0969 2.0488
2.7215 5.7330 1.9936
0.0901 10.6028 1.9936
6.3257 0.5096 6.2143
3.6943 5.3794 6.2143
2.7745 9.0156 6.2695
3.6926 9.4481 2.2714
9.1949 2.1050 2.0488
6.4111 6.9105 2.0488
10.0286 1.5262 6.4921
6.4955 7.9219 6.4921
9.2273 5.2234 6.2143
0.0000 0.0000 0.4116
0.0000 0.0000 4.6324
0.0000 7.4083 3.8367
0.0000 7.4083 8.0656
6.4158 3.7041 3.8449
6.4158 3.7041 8.0574
-4.5542 9.2054 3.0230
-0.6699 2.6811 1.2603
-2.6713 6.6862 2.9802
-1.8819 5.5366 1.2133
-2.6411 8.0604 5.4429
-0.6498 4.7741 7.2048
0.7208 2.5656 3.0230
-3.7589 10.3520 1.2603
2.5823 0.6586 7.2437
1.9870 1.9207 5.4810
-1.9564 9.2881 7.2048
0.7558 4.7950 5.4429
-0.6800 9.9739 1.2133
1.9610 5.4559 2.9802
3.8096 2.9498 2.9840
4.5305 1.7430 1.2222
5.7055 1.0297 7.2009
3.8539 4.3980 5.4340
2.5619 6.7144 1.2133
0.7103 10.0827 2.9802
1.8852 9.3695 5.4429
2.6061 8.1627 7.2048
4.4548 5.6565 7.2009
7.0958 1.1386 5.4340
5.6599 6.3174 1.2222
8.3721 1.8244 2.9840
4.4288 9.1917 1.2603
3.8335 10.4538 3.0230
10.1747 0.7604 5.4810
5.6950 8.5468 7.2437
7.0655 6.3383 2.9840
9.0568 3.0521 1.2222
8.2976 5.5758 5.4340
9.0870 4.4262 7.2009
7.0857 8.4313 5.4810
10.9700 1.9070 7.2437

---

# 4
FeH12C8S2N6O2, optimized geometry, DFT GGA+U; DFT formation energy = -0.1303 eV per atom; theoretical density = 1.40 g/cm³; DFT total energy = -383.2 eV/cell; V = 819.21 Å³ per cell
1.0
8.1979 0.0000 0.0000
0.0000 10.5173 0.0000
-7.0685 0.0000 9.5015
Fe H C S N O
2 24 16 4 12 4
Cartesian
0.0000 0.0000 0.0000
-3.5342 5.2586 4.7508
-1.4164 2.2188 4.2581
-4.9506 3.0398 9.0088
0.0467 7.3184 2.3766
-3.4875 8.4575 7.1274
0.5967 5.6455 2.0652
-2.9376 10.1304 6.8160
-0.1103 6.0621 3.6895
-3.6445 9.7138 8.4403
-3.2846 2.3420 8.9239
0.2496 2.9167 4.1731
-0.1306 1.5665 5.3265
3.4036 3.6922 0.5757
-2.2742 6.8251 8.9258
1.2600 8.9508 4.1750
0.8798 7.6006 5.3284
4.4140 8.1753 0.5776
4.7739 0.8035 1.0612
1.2397 4.4552 5.8120
4.0670 0.3869 2.6855
0.5327 4.8718 7.4363
4.6169 2.0597 2.3741
1.0827 3.1989 7.1249
6.0800 7.4774 0.4927
2.5458 8.2985 5.2435
-5.9698 7.4035 9.0132
-2.4355 8.3724 4.2625
-4.7323 5.9622 7.7395
-1.1981 9.8138 2.9887
0.4831 6.4210 2.8351
-3.0512 9.3549 7.5859
-0.5116 2.4668 4.8252
3.0227 2.7918 0.0744
-1.8933 7.7255 9.4271
1.6410 8.0504 4.6764
4.1805 1.1624 1.9157
0.6463 4.0963 6.6664
2.3275 0.7035 6.5128
5.8617 4.5551 1.7621
3.5649 2.1449 5.2390
7.0991 3.1138 0.4883
2.5331 1.6015 1.3440
-1.0011 3.6572 6.0948
2.1305 6.8601 3.4068
-1.4037 8.9158 8.1575
-3.0184 7.3852 4.5363
-6.5526 8.3907 9.2870
-4.1149 5.5915 6.8056
-0.5807 10.1844 2.0548
-5.3733 6.2659 8.8279
-1.8390 9.5101 4.0771
2.9684 1.0072 5.4244
6.5026 4.2514 0.6736
1.7101 0.3328 7.4467
5.2443 4.9258 2.6960
7.6820 2.1265 0.2145
4.1478 3.1321 4.9653
2.0561 0.3548 0.5878
-1.4781 4.9038 5.3386
2.6075 5.6134 4.1629
-0.9268 10.1625 8.9137

---

# 5
FeH24C2S2N6O14, optimized geometry, DFT GGA+U; DFT formation energy = -1.0532 eV per atom; theoretical density = 1.68 g/cm³; DFT total energy = -551.3 eV/cell; V = 940.99 Å³ per cell
1.0
10.1184 0.0000 0.0000
0.0000 7.7566 0.0000
-1.4357 0.0000 11.9895
Fe H C S N O
2 48 4 4 12 28
Cartesian
0.0000 0.0000 0.0000
-0.7179 3.8783 5.9948
-0.5434 1.2745 5.5565
-1.2613 2.6038 11.5513
-0.1897 0.0857 2.7552
-0.9075 3.7926 8.7500
-0.5665 1.2563 9.8193
0.1514 2.6220 3.8245
-0.2597 5.3210 11.5419
0.4582 6.3140 5.5471
2.1868 0.3613 1.6112
1.4689 3.5170 7.6060
2.4596 1.0273 0.1919
1.7417 2.8510 6.1866
3.2802 5.3399 0.9901
2.5624 6.2950 6.9849
2.4821 5.3120 8.4454
3.1999 6.3230 2.4506
3.0393 5.2458 4.4979
2.3214 6.3891 10.4927
2.9070 0.8425 7.1201
3.6249 3.0358 1.1254
2.7715 1.6265 8.6743
3.4893 2.2518 2.6796
2.5667 0.3542 10.6019
3.2845 3.5241 4.6072
5.3982 4.2326 7.3823
6.1160 7.4024 1.3876
5.1933 5.5048 9.3099
5.9112 6.1301 3.3152
5.0578 4.7208 10.8641
5.7756 6.9141 4.8694
6.3612 1.3675 1.4968
5.6434 2.5108 7.4916
5.4827 1.4337 9.5389
6.2006 2.4447 3.5441
6.1203 1.4616 5.0046
5.4024 2.4167 10.9994
6.9409 4.9056 5.8029
6.2231 6.7293 11.7976
7.2138 4.2396 4.3835
6.4959 7.3954 10.3783
8.2245 1.4427 6.4424
8.9423 2.4357 0.4476
8.5313 5.1346 8.1650
9.2491 6.5003 2.1702
9.5902 3.9640 3.2395
8.8723 7.6709 9.2343
9.9439 5.1528 0.4382
9.2261 6.4821 6.4330
3.4244 4.3037 2.7350
2.7065 7.3312 8.7297
5.9762 0.4254 3.2598
5.2583 3.4529 9.2545
2.0433 0.5000 4.4630
1.3255 3.3784 10.4577
7.3572 4.3783 1.5318
6.6393 7.2567 7.5265
3.3668 5.4181 2.0034
2.6489 6.2169 7.9982
2.8424 0.7595 8.1366
3.5602 3.1189 2.1418
3.3983 4.3868 4.0801
2.6804 7.2482 10.0749
6.0022 0.5085 1.9146
5.2844 3.3698 7.9094
5.1224 4.6378 9.8477
5.8403 6.9972 3.8529
6.0337 1.5398 3.9913
5.3159 2.3386 9.9861
-1.1674 5.6805 11.7210
-0.4495 5.9544 5.7262
-0.7904 0.3162 10.0202
-0.0725 3.5621 4.0255
0.6078 0.8583 4.1616
-0.1100 3.0201 10.1564
2.0319 0.2538 0.6331
1.3141 3.6246 6.6278
1.3608 4.6888 11.1782
2.0787 6.9461 5.1834
2.7953 0.3867 3.1807
2.0774 3.4916 9.1755
2.6581 1.5645 5.3098
1.9402 2.3139 11.3045
6.7425 5.4428 0.6850
6.0246 6.1922 6.6797
6.6052 4.2650 2.8140
5.8874 7.3699 8.8088
6.6040 0.8105 6.8061
7.3218 3.0678 0.8113
7.3686 4.1321 5.3617
6.6508 7.5029 11.3564
8.7927 4.7366 1.8331
8.0748 6.8984 7.8279
8.7552 4.1945 7.9641
9.4731 7.4404 1.9693
9.1322 1.8022 6.2633
9.8501 2.0761 0.2685

---

Question: Which value of DFT formation energy does entry 4 give?
Answer: -0.1303 eV per atom

---

Question: What is the DFT formation energy in the first record?
Answer: -1.0775 eV per atom

---

What did the fourth record say?
FeH12C8S2N6O2, optimized geometry, DFT GGA+U; DFT formation energy = -0.1303 eV per atom; theoretical density = 1.40 g/cm³; DFT total energy = -383.2 eV/cell; V = 819.21 Å³ per cell
1.0
8.1979 0.0000 0.0000
0.0000 10.5173 0.0000
-7.0685 0.0000 9.5015
Fe H C S N O
2 24 16 4 12 4
Cartesian
0.0000 0.0000 0.0000
-3.5342 5.2586 4.7508
-1.4164 2.2188 4.2581
-4.9506 3.0398 9.0088
0.0467 7.3184 2.3766
-3.4875 8.4575 7.1274
0.5967 5.6455 2.0652
-2.9376 10.1304 6.8160
-0.1103 6.0621 3.6895
-3.6445 9.7138 8.4403
-3.2846 2.3420 8.9239
0.2496 2.9167 4.1731
-0.1306 1.5665 5.3265
3.4036 3.6922 0.5757
-2.2742 6.8251 8.9258
1.2600 8.9508 4.1750
0.8798 7.6006 5.3284
4.4140 8.1753 0.5776
4.7739 0.8035 1.0612
1.2397 4.4552 5.8120
4.0670 0.3869 2.6855
0.5327 4.8718 7.4363
4.6169 2.0597 2.3741
1.0827 3.1989 7.1249
6.0800 7.4774 0.4927
2.5458 8.2985 5.2435
-5.9698 7.4035 9.0132
-2.4355 8.3724 4.2625
-4.7323 5.9622 7.7395
-1.1981 9.8138 2.9887
0.4831 6.4210 2.8351
-3.0512 9.3549 7.5859
-0.5116 2.4668 4.8252
3.0227 2.7918 0.0744
-1.8933 7.7255 9.4271
1.6410 8.0504 4.6764
4.1805 1.1624 1.9157
0.6463 4.0963 6.6664
2.3275 0.7035 6.5128
5.8617 4.5551 1.7621
3.5649 2.1449 5.2390
7.0991 3.1138 0.4883
2.5331 1.6015 1.3440
-1.0011 3.6572 6.0948
2.1305 6.8601 3.4068
-1.4037 8.9158 8.1575
-3.0184 7.3852 4.5363
-6.5526 8.3907 9.2870
-4.1149 5.5915 6.8056
-0.5807 10.1844 2.0548
-5.3733 6.2659 8.8279
-1.8390 9.5101 4.0771
2.9684 1.0072 5.4244
6.5026 4.2514 0.6736
1.7101 0.3328 7.4467
5.2443 4.9258 2.6960
7.6820 2.1265 0.2145
4.1478 3.1321 4.9653
2.0561 0.3548 0.5878
-1.4781 4.9038 5.3386
2.6075 5.6134 4.1629
-0.9268 10.1625 8.9137